1.
Compound: KZn2P2O8
Source: the Materials Project database
Functional: PBE-GGA
Structure: optimized geometry

## Properties
Size of the total moment (μB/cell): 2.00
Total energy after the MP2020 corrections (eV for the cell shown): -169.00
ΔH_f (0 K) (eV/atom): -2.343

Geometry as CIF:
```
data_KZn2P2O8
_cell_length_a 5.252
_cell_length_b 9.019
_cell_length_c 9.598
_cell_angle_alpha 97.33
_cell_angle_beta 101.57
_cell_angle_gamma 106.84
_space_group_name_H-M_alt 'P 1'
_space_group_IT_number 1
loop_
_space_group_symop_operation_xyz
'x,y,z'
loop_
_atom_site_label
_atom_site_fract_x
_atom_site_fract_y
_atom_site_fract_z
K1 0.088 0.294 0.322
K2 0.912 0.706 0.678
Zn1 0.190 0.891 0.112
Zn2 0.280 0.385 0.765
Zn3 0.720 0.615 0.235
Zn4 0.810 0.109 0.888
P1 0.346 0.750 0.398
P2 0.412 0.245 0.052
P3 0.588 0.755 0.948
P4 0.654 0.250 0.602
O1 0.082 0.603 0.333
O2 0.213 0.238 0.901
O3 0.238 0.114 0.116
O4 0.318 0.778 0.969
O5 0.333 0.802 0.556
O6 0.348 0.883 0.313
O7 0.400 0.305 0.599
O8 0.469 0.404 0.154
O9 0.531 0.596 0.846
O10 0.600 0.695 0.401
O11 0.652 0.117 0.687
O12 0.667 0.198 0.444
O13 0.682 0.222 0.031
O14 0.762 0.886 0.884
O15 0.787 0.762 0.099
O16 0.918 0.397 0.667
```

---

2.
Compound: K4ZnP6O22
Source: the Materials Project database
Functional: PBE-GGA
Structure: optimized geometry

## Properties
Size of the total moment (μB/cell): 8.00
Total energy after the MP2020 corrections (eV for the cell shown): -214.54
ΔH_f (0 K) (eV/atom): -2.046

Geometry as CIF:
```
data_K4ZnP6O22
_cell_length_a 8.425
_cell_length_b 8.425
_cell_length_c 9.739
_cell_angle_alpha 115.49
_cell_angle_beta 115.49
_cell_angle_gamma 78.41
_space_group_name_H-M_alt 'P 1'
_space_group_IT_number 1
loop_
_space_group_symop_operation_xyz
'x,y,z'
loop_
_atom_site_label
_atom_site_fract_x
_atom_site_fract_y
_atom_site_fract_z
K1 0.158 0.158 0.427
K2 0.219 0.781 0.000
K3 0.781 0.219 0.000
K4 0.842 0.842 0.573
Zn1 0.500 0.500 0.500
P1 0.011 0.294 0.782
P2 0.260 0.260 0.096
P3 0.294 0.011 0.782
P4 0.706 0.989 0.218
P5 0.740 0.740 0.904
P6 0.989 0.706 0.218
O1 0.006 0.441 0.732
O2 0.127 0.362 0.979
O3 0.139 0.139 0.706
O4 0.152 0.792 0.261
O5 0.157 0.157 0.122
O6 0.208 0.848 0.739
O7 0.271 0.485 0.503
O8 0.362 0.127 0.979
O9 0.393 0.393 0.237
O10 0.441 0.006 0.732
O11 0.485 0.271 0.503
O12 0.515 0.729 0.497
O13 0.559 0.994 0.268
O14 0.607 0.607 0.763
O15 0.638 0.873 0.021
O16 0.729 0.515 0.497
O17 0.792 0.152 0.261
O18 0.843 0.843 0.878
O19 0.848 0.208 0.739
O20 0.861 0.861 0.294
O21 0.873 0.638 0.021
O22 0.994 0.559 0.268
```